1.
# Sn4Sb6S13

A geometry-optimized Sn4Sb6S13 structure (PBE, the Materials Project).

Lattice parameters (Å, degrees): 16.9866 16.9866 24.9420 48.44 48.44 12.96
With the nearest neighbours (Å) after each atom.
Fractional positions:
Sn 0.1983 0.1983 0.1015  3 S 2.62-2.81
Sn 0.6463 0.6463 0.8368  3 S 2.56-2.74
Sn 0.4290 0.4290 0.6965  3 S 2.63-2.80
Sn 0.5478 0.5478 0.5113  5 S 2.73-2.84
Sn 0.4522 0.4522 0.4887  5 S 2.73-2.84
Sn 0.5710 0.5710 0.3035  3 S 2.63-2.80
Sn 0.8017 0.8017 0.8985  3 S 2.62-2.81
Sn 0.3537 0.3537 0.1632  3 S 2.56-2.74
Sb 0.3279 0.3279 0.3320  3 S 2.55-2.56
Sb 0.6721 0.6721 0.6680  3 S 2.55-2.56
Sb 0.8213 0.8213 0.6930  3 S 2.49-2.60
Sb 0.4886 0.4886 0.0964  5 S 2.56-2.79
Sb 0.5114 0.5114 0.9036  5 S 2.56-2.79
Sb 0.1787 0.1787 0.3070  3 S 2.49-2.60
Sb 0.8676 0.8676 0.9930  3 S 2.62-2.63
Sb 0.0274 0.0274 0.7512  5 S 2.57-2.81
Sb 0.9726 0.9726 0.2488  5 S 2.57-2.81
Sb 0.8559 0.8559 0.4777  3 S 2.45-2.65
Sb 0.1441 0.1441 0.5223  3 S 2.45-2.65
Sb 0.1324 0.1324 0.0070  3 S 2.62-2.63
S 0.9236 0.9236 0.2028  3 Sb 2.57-2.79
S 0.2108 0.2108 0.7576  2 Sn 2.56
S 0.6864 0.6864 0.0419  2 Sn 2.62
S 0.7892 0.7892 0.2424  2 Sn 2.56
S 0.3136 0.3136 0.9581  2 Sn 2.62
S 0.6799 0.6799 0.9110  2 Sb 2.62, 1 Sn 2.74
S 0.0577 0.0577 0.0007  3 Sb 2.63-2.72
S 0.0803 0.0803 0.4057  1 Sb 2.49
S 0.0879 0.0879 0.2181  3 Sn 2.63-2.81
S 0.4634 0.4634 0.8563  3 Sb 2.56-2.77
S 0.0475 0.0475 0.5956  1 Sb 2.45
S 0.6535 0.6535 0.4412  2 Sb 2.65, 1 Sn 2.73
S 0.9197 0.9197 0.5943  1 Sb 2.49
S 0.3960 0.3960 0.3461  3 Sb 2.55-2.81
S 0.6040 0.6040 0.6539  3 Sb 2.55-2.81
S 0.9423 0.9423 0.9993  3 Sb 2.63-2.72
S 0.3218 0.3218 0.7632  2 Sb 2.60, 1 Sn 2.80
S 0.9121 0.9121 0.7819  3 Sn 2.63-2.81
S 0.3201 0.3201 0.0890  2 Sb 2.62, 1 Sn 2.74
S 0.2234 0.2234 0.5777  2 Sb 2.56
S 0.6782 0.6782 0.2368  2 Sb 2.60, 1 Sn 2.80
S 0.9525 0.9525 0.4044  1 Sb 2.45
S 0.7766 0.7766 0.4223  2 Sb 2.56
S 0.5366 0.5366 0.1437  3 Sb 2.56-2.77
S 0.0764 0.0764 0.7972  3 Sb 2.57-2.79
S 0.3465 0.3465 0.5588  2 Sb 2.65, 1 Sn 2.73

* energy of formation from the pure elements: -1198 kJ/mol of formula units
* space group: C2/m



2.
# Sr3Sb4S9

A geometry-optimized Sr3Sb4S9 structure (PBE, the Materials Project).

Lattice parameters (Å, degrees): 4.0626 16.7234 24.4813 90.00 90.00 90.00
With the nearest neighbours (Å) after each atom.
Fractional positions:
Sr 0.7563 0.3781 0.0551  8 S 3.07-3.24
Sr 0.2563 0.6219 0.9449  8 S 3.07-3.24
Sr 0.2563 0.1219 0.5551  8 S 3.07-3.24
Sr 0.7563 0.8781 0.4449  8 S 3.07-3.24
Sr 0.7575 0.1749 0.1760  8 S 3.07-3.27
Sr 0.2575 0.8251 0.8240  8 S 3.07-3.27
Sr 0.2575 0.3251 0.6760  8 S 3.07-3.27
Sr 0.7575 0.6749 0.3240  8 S 3.07-3.27
Sr 0.7602 0.4434 0.2335  7 S 3.06-3.22
Sr 0.2602 0.5566 0.7665  7 S 3.06-3.22
Sr 0.2602 0.0566 0.7335  7 S 3.06-3.22
Sr 0.7602 0.9434 0.2665  7 S 3.06-3.22
Sb 0.7272 0.8324 0.9887  3 S 2.46-2.71
Sb 0.2272 0.1676 0.0113  3 S 2.46-2.71
Sb 0.2272 0.6676 0.4887  3 S 2.46-2.71
Sb 0.7272 0.3324 0.5113  3 S 2.46-2.71
Sb 0.2369 0.0909 0.3945  2 S 2.47-2.58
Sb 0.7369 0.9091 0.6055  2 S 2.47-2.58
Sb 0.7369 0.4091 0.8945  2 S 2.47-2.58
Sb 0.2369 0.5909 0.1055  2 S 2.47-2.58
Sb 0.2057 0.2570 0.3225  3 S 2.46-2.61
Sb 0.7057 0.7430 0.6775  3 S 2.46-2.61
Sb 0.7057 0.2430 0.8225  3 S 2.46-2.61
Sb 0.2057 0.7570 0.1775  3 S 2.46-2.61
Sb 0.2095 0.4725 0.3892  3 S 2.47-2.69
Sb 0.7095 0.5275 0.6108  3 S 2.47-2.69
Sb 0.7095 0.0275 0.8892  3 S 2.47-2.69
Sb 0.2095 0.9725 0.1108  3 S 2.47-2.69
S 0.7867 0.6410 0.1924  1 Sb 2.61
S 0.2867 0.3590 0.8076  1 Sb 2.61
S 0.2867 0.8590 0.6924  1 Sb 2.61
S 0.7867 0.1410 0.3076  1 Sb 2.61
S 0.7667 0.5611 0.0375  2 Sb 2.58-2.77
S 0.2667 0.4389 0.9625  2 Sb 2.58-2.77
S 0.2667 0.9389 0.5375  2 Sb 2.58-2.77
S 0.7667 0.0611 0.4625  2 Sb 2.58-2.77
S 0.2559 0.4516 0.1383  1 Sb 2.47
S 0.7559 0.5484 0.8617  1 Sb 2.47
S 0.7559 0.0484 0.6383  1 Sb 2.47
S 0.2559 0.9516 0.3617  1 Sb 2.47
S 0.2548 0.2519 0.0934  1 Sb 2.46
S 0.7548 0.7481 0.9066  1 Sb 2.46
S 0.7548 0.2481 0.5934  1 Sb 2.46
S 0.7725 0.5640 0.4279  1 Sb 2.53
S 0.2548 0.7519 0.4066  1 Sb 2.46
S 0.2782 0.1327 0.8470  2 Sb 2.60-2.69
S 0.2782 0.6327 0.6530  2 Sb 2.60-2.69
S 0.7782 0.3673 0.3470  2 Sb 2.60-2.69
S 0.2571 0.5418 0.3002  1 Sb 2.47
S 0.7571 0.4582 0.6998  1 Sb 2.47
S 0.7571 0.9582 0.8002  1 Sb 2.47
S 0.2571 0.0418 0.1998  1 Sb 2.47
S 0.2476 0.7972 0.2738  1 Sb 2.46
S 0.7476 0.2028 0.7262  1 Sb 2.46
S 0.7476 0.7028 0.7738  1 Sb 2.46
S 0.2476 0.2972 0.2262  1 Sb 2.46
S 0.2553 0.2562 0.4682  2 Sb 2.53-2.71
S 0.7553 0.7438 0.5318  2 Sb 2.53-2.71
S 0.7553 0.2438 0.9682  2 Sb 2.53-2.71
S 0.2553 0.7562 0.0318  2 Sb 2.53-2.71
S 0.7725 0.0640 0.0721  1 Sb 2.53
S 0.2725 0.9360 0.9279  1 Sb 2.53
S 0.2725 0.4360 0.5721  1 Sb 2.53
S 0.7782 0.8673 0.1530  2 Sb 2.60-2.69

* energy of formation from the pure elements: -1946 kJ/mol of formula units
* space group: Pna2_1



3.
# Sr6Sb6S17

A geometry-optimized Sr6Sb6S17 structure (PBE, the Materials Project).

Lattice parameters (Å, degrees): 8.3869 15.7314 23.1787 90.00 90.00 90.00
With the nearest neighbours (Å) after each atom.
Fractional positions:
Sr 0.2553 0.5618 0.9563  8 S 3.01-3.27
Sr 0.7553 0.9382 0.0437  8 S 3.01-3.27
Sr 0.7447 0.0618 0.5437  8 S 3.01-3.27
Sr 0.2447 0.4382 0.4563  8 S 3.01-3.27
Sr 0.2490 0.9360 0.0453  8 S 3.05-3.23
Sr 0.7490 0.5640 0.9547  8 S 3.05-3.23
Sr 0.7510 0.4360 0.4547  8 S 3.05-3.23
Sr 0.2510 0.0640 0.5453  8 S 3.05-3.23
Sr 0.2535 0.4532 0.7862  7 S 3.02-3.32
Sr 0.7535 0.0468 0.2138  7 S 3.02-3.32
Sr 0.7465 0.9532 0.7138  7 S 3.02-3.32
Sr 0.2465 0.5468 0.2862  7 S 3.02-3.32
Sr 0.2498 0.9577 0.7148  7 S 3.03-3.19
Sr 0.7498 0.5423 0.2852  7 S 3.03-3.19
Sr 0.7502 0.4577 0.7852  7 S 3.03-3.19
Sr 0.2502 0.0423 0.2148  7 S 3.03-3.19
Sr 0.2540 0.3363 0.6245  9 S 3.04-3.31
Sr 0.7540 0.1637 0.3755  9 S 3.04-3.31
Sr 0.7460 0.8363 0.8755  9 S 3.04-3.31
Sr 0.2460 0.6637 0.1245  9 S 3.04-3.31
Sr 0.2540 0.8373 0.8762  9 S 3.03-3.32
Sr 0.7540 0.6627 0.1238  9 S 3.03-3.32
Sr 0.7460 0.3373 0.6238  9 S 3.03-3.32
Sr 0.2460 0.1627 0.3762  9 S 3.03-3.32
Sb 0.4898 0.5692 0.6047  3 S 2.47-2.53
Sb 0.9898 0.9308 0.3953  3 S 2.47-2.53
Sb 0.5102 0.0692 0.8953  3 S 2.47-2.53
Sb 0.0102 0.4308 0.1047  3 S 2.47-2.53
Sb 0.9810 0.5751 0.5870  2 S 2.44-2.61
Sb 0.4810 0.9249 0.4130  2 S 2.44-2.61
Sb 0.0190 0.0751 0.9130  2 S 2.44-2.61
Sb 0.5190 0.4249 0.0870  2 S 2.44-2.61
Sb 0.4949 0.3366 0.9361  3 S 2.47-2.56
Sb 0.9949 0.1634 0.0639  3 S 2.47-2.56
Sb 0.5051 0.8366 0.5639  3 S 2.47-2.56
Sb 0.0051 0.6634 0.4361  3 S 2.47-2.56
Sb 0.9903 0.8294 0.5880  3 S 2.46-2.57
Sb 0.4903 0.6706 0.4120  3 S 2.46-2.57
Sb 0.0097 0.3294 0.9120  3 S 2.46-2.57
Sb 0.5097 0.1706 0.0880  3 S 2.46-2.57
Sb 0.0125 0.7204 0.7312  3 S 2.47-2.73
Sb 0.5125 0.7796 0.2688  3 S 2.47-2.73
Sb 0.9875 0.2204 0.7688  3 S 2.47-2.73
Sb 0.4875 0.2796 0.2312  3 S 2.47-2.73
Sb 0.4951 0.7021 0.7471  3 S 2.46-2.53
Sb 0.9951 0.7979 0.2529  3 S 2.46-2.53
Sb 0.5049 0.2021 0.7529  3 S 2.46-2.53
Sb 0.0049 0.2979 0.2471  3 S 2.46-2.53
S 0.4925 0.7087 0.9300  1 S 2.10
S 0.9925 0.7913 0.0700  1 S 2.10
S 0.5075 0.2087 0.5700  1 S 2.10
S 0.0075 0.2913 0.4300  1 S 2.10
S 0.3599 0.7507 0.0011  2 S 2.09-2.10
S 0.8599 0.7493 0.9989  2 S 2.09-2.10
S 0.6401 0.2507 0.4989  2 S 2.09-2.10
S 0.1401 0.2493 0.5011  2 S 2.09-2.10
S 0.9957 0.7072 0.9288  1 S 2.09
S 0.4957 0.7928 0.0712  1 S 2.09
S 0.0043 0.2072 0.5712  1 S 2.09
S 0.5043 0.2928 0.4288  1 S 2.09
S 0.2624 0.5258 0.6654  1 Sb 2.47
S 0.7624 0.9742 0.3346  1 Sb 2.47
S 0.7376 0.0258 0.8346  1 Sb 2.47
S 0.2376 0.4742 0.1654  1 Sb 2.47
S 0.4948 0.4350 0.5496  1 Sb 2.47
S 0.9948 0.0650 0.4504  1 Sb 2.47
S 0.5052 0.9350 0.9504  1 Sb 2.47
S 0.0052 0.5650 0.0496  1 Sb 2.47
S 0.2370 0.9709 0.3390  2 Sb 2.53-2.77
S 0.7370 0.5291 0.6610  2 Sb 2.53-2.77
S 0.7630 0.4709 0.1610  2 Sb 2.53-2.77
S 0.2630 0.0291 0.8390  2 Sb 2.53-2.77
S 0.0051 0.9290 0.9478  1 Sb 2.44
S 0.5051 0.5710 0.0522  1 Sb 2.44
S 0.9949 0.4290 0.5522  1 Sb 2.44
S 0.4949 0.0710 0.4478  1 Sb 2.44
S 0.2101 0.7785 0.6570  2 Sb 2.56-2.57
S 0.7830 0.6189 0.5056  2 Sb 2.56-2.61
S 0.2170 0.1189 0.9944  2 Sb 2.56-2.61
S 0.7170 0.3811 0.0056  2 Sb 2.56-2.61
S 0.4977 0.9726 0.6198  1 Sb 2.50
S 0.9977 0.5274 0.3802  1 Sb 2.50
S 0.5023 0.4726 0.8802  1 Sb 2.50
S 0.0023 0.0274 0.1198  1 Sb 2.50
S 0.2179 0.6201 0.5036  1 Sb 2.47
S 0.7179 0.8799 0.4964  1 Sb 2.47
S 0.7821 0.1201 0.9964  1 Sb 2.47
S 0.2821 0.3799 0.0036  1 Sb 2.47
S 0.7748 0.7811 0.6520  1 Sb 2.46
S 0.2748 0.7189 0.3480  1 Sb 2.46
S 0.2252 0.2811 0.8480  1 Sb 2.46
S 0.7252 0.2189 0.1520  1 Sb 2.46
S 0.9980 0.9802 0.6222  1 Sb 2.50
S 0.4980 0.5198 0.3778  1 Sb 2.50
S 0.0020 0.4802 0.8778  1 Sb 2.50
S 0.5020 0.0198 0.1222  1 Sb 2.50
S 0.2921 0.1549 0.6873  1 Sb 2.46
S 0.7921 0.3451 0.3127  1 Sb 2.46
S 0.7079 0.6549 0.8127  1 Sb 2.46
S 0.2079 0.8451 0.1873  1 Sb 2.46
S 0.2536 0.3372 0.3032  2 Sb 2.53-2.73
S 0.7536 0.1628 0.6968  2 Sb 2.53-2.73
S 0.7464 0.8372 0.1968  2 Sb 2.53-2.73
S 0.2464 0.6628 0.8032  2 Sb 2.53-2.73
S 0.0034 0.1475 0.2796  1 Sb 2.48
S 0.5034 0.3525 0.7204  1 Sb 2.48
S 0.9966 0.6475 0.2204  1 Sb 2.48
S 0.4966 0.8525 0.7796  1 Sb 2.48
S 0.5016 0.1420 0.2825  1 Sb 2.47
S 0.0016 0.3580 0.7175  1 Sb 2.47
S 0.4984 0.6420 0.2175  1 Sb 2.47
S 0.9984 0.8580 0.7825  1 Sb 2.47
S 0.2899 0.2215 0.1570  2 Sb 2.56-2.57
S 0.7899 0.2785 0.8430  2 Sb 2.56-2.57
S 0.7101 0.7215 0.3430  2 Sb 2.56-2.57
S 0.2830 0.8811 0.4944  2 Sb 2.56-2.61

* energy of formation from the pure elements: -3744 kJ/mol of formula units
* space group: P2_12_12_1



4.
# TlSb3S5

A geometry-optimized TlSb3S5 structure (PBE, the Materials Project).

Lattice parameters (Å, degrees): 15.9539 7.4797 9.1970 65.64 90.00 90.00
With the nearest neighbours (Å) after each atom.
Fractional positions:
Tl 0.7360 0.0267 0.4625  5 S 3.09-3.41
Tl 0.2360 0.9733 0.0375  5 S 3.09-3.41
Tl 0.2640 0.9733 0.5375  5 S 3.09-3.41
Tl 0.7640 0.0267 0.9625  5 S 3.09-3.41
Sb 0.8692 0.4968 0.0634  3 S 2.46-2.59
Sb 0.3692 0.5032 0.4366  3 S 2.46-2.59
Sb 0.1308 0.5032 0.9366  3 S 2.46-2.59
Sb 0.6308 0.4968 0.5634  3 S 2.46-2.59
Sb 0.5034 0.9931 0.2132  3 S 2.46-2.69
Sb 0.0034 0.0069 0.2868  3 S 2.46-2.69
Sb 0.4966 0.0069 0.7868  3 S 2.46-2.69
Sb 0.9966 0.9931 0.7132  3 S 2.46-2.69
Sb 0.5963 0.5335 0.1123  3 S 2.48-2.61
Sb 0.0963 0.4665 0.3877  3 S 2.48-2.61
Sb 0.4037 0.4665 0.8877  3 S 2.48-2.61
Sb 0.9037 0.5335 0.6123  3 S 2.48-2.61
S 0.7283 0.3281 0.1113  2 Sb 2.53-2.61
S 0.2283 0.6719 0.3887  2 Sb 2.53-2.61
S 0.2717 0.6719 0.8887  2 Sb 2.53-2.61
S 0.7717 0.3281 0.6113  2 Sb 2.53-2.61
S 0.8734 0.7890 0.3408  2 Sb 2.49-2.56
S 0.3734 0.2110 0.1592  2 Sb 2.49-2.56
S 0.1266 0.2110 0.6592  2 Sb 2.49-2.56
S 0.6266 0.7890 0.8408  2 Sb 2.49-2.56
S 0.5562 0.2504 0.4999  2 Sb 2.46-2.69
S 0.0562 0.7496 0.0001  2 Sb 2.46-2.69
S 0.4438 0.7496 0.5001  2 Sb 2.46-2.69
S 0.9438 0.2504 0.9999  2 Sb 2.46-2.69
S 0.9406 0.2252 0.3968  1 Sb 2.46
S 0.4406 0.7748 0.1032  1 Sb 2.46
S 0.0594 0.7748 0.6032  1 Sb 2.46
S 0.5594 0.2252 0.8968  1 Sb 2.46
S 0.8411 0.7095 0.7632  2 Sb 2.48-2.59
S 0.3411 0.2905 0.7368  2 Sb 2.48-2.59
S 0.1589 0.2905 0.2368  2 Sb 2.48-2.59
S 0.6589 0.7095 0.2632  2 Sb 2.48-2.59

* energy of formation from the pure elements: -488 kJ/mol of formula units
* space group: P2_1/c